1.
This record from the Materials Project describes crystalline Sr2SmWO6 at its relaxed geometry. The functional is GGA+U.

For the formation energy, the calculation gives -3.08 eV per atom. As for the calculated volume: 605 Å³ per cell. The corrected total energy (MP2020 scheme) comes out at -8.15 eV/atom.

It has space group Pn-3 (No. 201, origin choice 2), with a = 8.4563 Å, b = 8.4563 Å, c = 8.4563 Å, α = 90.00°, β = 90.00° and γ = 90.00°. Symmetry generates all atoms from Sr at (0.2500, 0.2500, 0.2500), Sr at (0.2500, 0.2500, 0.7500), Sm at (0.0000, 0.0000, 0.0000), W at (0.0000, 0.0000, 0.5000) and O at (0.0361, 0.5395, 0.7673).

2.
This record from the Materials Project describes crystalline Sr2SmWO6 at its relaxed geometry. The functional is GGA+U.

For the formation energy, the calculation gives -2.96 eV per atom. As for the calculated volume: 617 Å³ per cell. The corrected total energy (MP2020 scheme) comes out at -8.04 eV/atom.

It has space group Fm-3m (No. 225), with a = 8.5152 Å, b = 8.5152 Å, c = 8.5152 Å, α = 90.00°, β = 90.00° and γ = 90.00°. Symmetry generates all atoms from Sr at (0.2500, 0.2500, 0.2500), Sm at (0.0000, 0.0000, 0.0000), W at (0.0000, 0.0000, 0.5000) and O at (0.0000, 0.0000, 0.2664).

So what do the calculations give for raw total energy? Going down the list: -7.2980, -7.1801 eV per atom.